# Sr4Bi2O

Crystalline Sr4Bi2O at its relaxed geometry (PBE-GGA, the Materials Project database).

Cell: 9.5687 9.5687 9.5687 Å, 149.41 149.41 43.80°
Closest atoms and distances in Å follow each position.
Sites, in units of the cell vectors:
Sr: 0.0000 0.0000 0.0000  1 O 2.77
Sr: 0.1638 0.6638 0.5000  2 O 2.53
Sr: 0.3357 0.3357 0.0000  1 O 3.19, 1 Bi 3.37
Sr: 0.6638 0.1638 0.5000  2 O 2.53
Bi: 0.5256 0.5256 0.0000  9 Sr 3.37-3.60
Bi: 0.8035 0.8035 0.0000  9 Sr 3.49-3.61
O: 0.1560 0.1560 0.0000  5 Sr 2.53-2.77

Output
Calculated total energy ... -4.2520 eV/atom
E (MP2020) ... -4.350 eV per atom
Formation energy from the elements ... -1.566 eV/atom
Symmetry ... I4mm, No. 107
Theoretical density ... 5.76 g/cm³

# Dy3AlC

Crystalline Dy3AlC at its relaxed geometry (PBE-GGA, the Materials Project database).

Cell: 4.8863 4.8863 4.8863 Å, 90.00 90.00 90.00°
Closest atoms and distances in Å follow each position.
Sites, in units of the cell vectors:
Dy: 0.0000 0.0000 0.5000  2 C 2.44
Dy: 0.0000 0.5000 0.0000  2 C 2.44
Dy: 0.5000 0.0000 0.0000  2 C 2.44
Al: 0.5000 0.5000 0.5000  12 Dy 3.46
C: 0.0000 0.0000 0.0000  6 Dy 2.44

Output
Calculated total energy ... -5.7412 eV/atom
Formation energy from the elements ... -0.382 eV/atom
Symmetry ... Pm-3m, No. 221
Theoretical density ... 7.49 g/cm³

# HgGe3

Crystalline HgGe3 at its relaxed geometry (PBE-GGA, the Materials Project database).

Cell: 4.3955 4.3955 4.3955 Å, 90.00 90.00 90.00°
Closest atoms and distances in Å follow each position.
Sites, in units of the cell vectors:
Hg: 0.0000 0.0000 0.0000  12 Ge 3.11
Ge: 0.0000 0.5000 0.5000  8 Ge 3.11, 4 Hg 3.11
Ge: 0.5000 0.0000 0.5000  8 Ge 3.11, 4 Hg 3.11
Ge: 0.5000 0.5000 0.0000  8 Ge 3.11, 4 Hg 3.11

Output
Calculated total energy ... -3.2009 eV/atom
Formation energy from the elements ... 0.342 eV/atom
Symmetry ... Pm-3m, No. 221
Theoretical density ... 8.18 g/cm³

# RbLi2H6N3

Crystalline RbLi2H6N3 at its relaxed geometry (PBE-GGA, the Materials Project database).

Cell: 5.3762 6.9818 7.0090 Å, 101.61 90.13 90.17°
Closest atoms and distances in Å follow each position.
Sites, in units of the cell vectors:
Rb: 0.0000 0.0000 0.0000  2 H 2.74-2.77
Rb: 0.4990 0.4210 0.5594  5 H 2.79-3.12, 1 N 3.01
Li: 0.2457 0.5708 0.1446  4 N 2.05-2.16, 2 H 2.22-2.28
Li: 0.2546 0.8546 0.4330  4 N 2.06-2.17, 1 H 2.21
Li: 0.7523 0.5712 0.1473  4 N 2.06-2.15, 2 H 2.20-2.28
Li: 0.7554 0.8583 0.4328  4 N 2.06-2.17, 1 H 2.21
H: 0.0016 0.4572 0.3638  1 N 1.03
H: 0.0017 0.6450 0.5337  1 N 1.03
H: 0.0033 0.3951 0.8347  1 N 1.03
H: 0.0122 0.1963 0.3808  1 N 1.03
H: 0.4957 0.0266 0.7391  1 N 1.03
H: 0.4980 0.2176 0.1732  1 N 1.03
H: 0.5010 0.9654 0.2068  1 N 1.03
H: 0.5039 0.7756 0.0392  1 N 1.03
H: 0.5082 0.8067 0.7716  1 N 1.03
H: 0.5124 0.2964 0.9739  1 N 1.03
H: 0.9888 0.6142 0.8040  1 N 1.02
H: 0.9972 0.1580 0.5977  1 N 1.03
N: 0.0006 0.6077 0.3837  2 H 1.03
N: 0.0086 0.0836 0.4553  2 H 1.03
N: 0.4931 0.3453 0.1218  2 H 1.03
N: 0.5007 0.8151 0.1886  2 H 1.03
N: 0.5070 0.8845 0.6619  2 H 1.03
N: 0.9921 0.5364 0.9133  2 H 1.02-1.03

Output
Calculated total energy ... -4.6259 eV/atom
E (MP2020) ... -4.716 eV per atom
Formation energy from the elements ... -0.536 eV/atom
Piezoelectric modulus e_max ... 0.20 C/m²
Symmetry ... P1, No. 1
Theoretical density ... 1.90 g/cm³